# 1
This record from the Materials Project describes a relaxed structure of Mn5Fe2BC2. The functional is GGA-PBE.

```
Mn5Fe2BC2
1.0
4.403 0.000 0.000
0.000 6.763 0.000
0.000 0.000 12.038
Mn Fe B C
20 8 4 8
Direct
0.059 0.062 0.191
0.059 0.438 0.191
0.247 0.562 0.476
0.247 0.750 0.093
0.247 0.938 0.476
0.253 0.062 0.976
0.253 0.250 0.593
0.253 0.438 0.976
0.441 0.562 0.691
0.441 0.938 0.691
0.559 0.062 0.309
0.559 0.438 0.309
0.747 0.562 0.024
0.747 0.750 0.407
0.747 0.938 0.024
0.753 0.062 0.524
0.753 0.250 0.907
0.753 0.438 0.524
0.941 0.562 0.809
0.941 0.938 0.809
0.049 0.250 0.370
0.231 0.750 0.298
0.269 0.250 0.798
0.451 0.750 0.870
0.549 0.250 0.130
0.731 0.750 0.202
0.769 0.250 0.702
0.951 0.750 0.630
0.041 0.750 0.942
0.459 0.250 0.442
0.541 0.750 0.558
0.959 0.250 0.058
0.026 0.027 0.654
0.026 0.473 0.654
0.474 0.527 0.154
0.474 0.973 0.154
0.526 0.027 0.846
0.526 0.473 0.846
0.974 0.527 0.346
0.974 0.973 0.346
```

**Formation enthalpy at 0 K**: -0.084 eV/atom
**Size of the total moment**: 0.0003 μB/atom

=====

# 2
This record from the Materials Project describes a relaxed structure of ErFe2B2. The functional is GGA-PBE.

```
ErFe2B2
1.0
3.604 0.000 0.000
0.000 3.604 0.000
0.000 0.000 9.260
Er Fe B
2 4 4
Direct
0.000 0.000 0.000
0.500 0.500 0.500
0.000 0.500 0.250
0.000 0.500 0.750
0.500 0.000 0.250
0.500 0.000 0.750
0.000 0.000 0.343
0.000 0.000 0.657
0.500 0.500 0.157
0.500 0.500 0.843
```

**Formation enthalpy at 0 K**: -0.451 eV/atom

=====

# 3
This record from the Materials Project describes a relaxed structure of La2Ti2SiS5O24. The functional is GGA-PBE.

```
La2Ti2SiS5O24
1.0
9.121 0.000 0.000
-4.553 7.927 0.000
-0.076 -0.062 23.547
La Ti Si S O
6 6 3 15 72
Direct
0.000 0.000 0.000
0.002 0.007 0.194
0.021 0.008 0.687
0.343 0.674 0.378
0.346 0.670 0.874
0.678 0.337 0.810
0.035 0.992 0.488
0.347 0.681 0.647
0.357 0.686 0.158
0.677 0.330 0.034
0.683 0.339 0.532
0.695 0.353 0.326
0.320 0.007 0.588
0.695 0.004 0.094
0.939 0.620 0.431
0.015 0.680 0.094
0.016 0.314 0.588
0.043 0.393 0.262
0.073 0.670 0.752
0.336 0.332 0.094
0.344 0.399 0.752
0.367 0.968 0.259
0.395 0.309 0.430
0.402 0.064 0.933
0.617 0.942 0.752
0.621 0.644 0.261
0.682 0.612 0.932
0.705 0.699 0.588
0.709 0.086 0.429
0.953 0.338 0.933
0.012 0.220 0.255
0.048 0.816 0.748
0.052 0.229 0.542
0.065 0.793 0.045
0.116 0.497 0.935
0.118 0.497 0.211
0.122 0.641 0.426
0.147 0.468 0.313
0.161 0.655 0.111
0.161 0.681 0.806
0.168 0.484 0.600
0.172 0.668 0.702
0.174 0.967 0.536
0.194 0.230 0.750
0.221 0.156 0.438
0.223 0.993 0.247
0.224 0.265 0.045
0.233 0.042 0.938
0.253 0.055 0.643
0.267 0.212 0.142
0.333 0.862 0.310
0.334 0.834 0.603
0.337 0.476 0.807
0.348 0.500 0.703
0.356 0.499 0.111
0.374 0.458 0.425
0.381 0.869 0.209
0.399 0.901 0.935
0.470 0.284 0.377
0.478 0.150 0.879
0.497 0.330 0.480
0.501 0.389 0.751
0.505 0.157 0.568
0.506 0.167 0.982
0.507 0.840 0.114
0.508 0.360 0.080
0.511 0.622 0.210
0.514 0.843 0.701
0.525 0.130 0.266
0.525 0.623 0.934
0.536 0.685 0.598
0.540 0.855 0.806
0.550 0.678 0.312
0.556 0.919 0.424
0.622 0.106 0.750
0.626 0.482 0.270
0.664 0.163 0.076
0.671 0.525 0.575
0.680 0.511 0.982
0.683 0.166 0.480
0.687 0.534 0.878
0.722 0.186 0.376
0.760 0.948 0.039
0.786 0.963 0.747
0.792 0.821 0.541
0.794 0.782 0.251
0.807 0.754 0.640
0.821 0.054 0.147
0.823 0.527 0.371
0.833 0.501 0.483
0.833 0.781 0.935
0.851 0.339 0.982
0.862 0.073 0.436
0.866 0.326 0.878
0.870 0.378 0.273
0.870 0.511 0.080
0.872 0.343 0.575
0.909 0.510 0.750
0.959 0.811 0.443
0.968 0.212 0.641
0.969 0.752 0.142
0.979 0.192 0.937
```

**Formation enthalpy at 0 K**: -2.606 eV/atom
**Size of the total moment**: 0.0000 μB/atom

=====

# 4
This record from the Materials Project describes a relaxed structure of MgSi2. The functional is GGA-PBE.

```
MgSi2
1.0
3.731 0.000 0.000
1.797 4.946 0.000
1.328 1.858 12.416
Mg Si
4 8
Direct
0.074 0.232 0.103
0.350 0.018 0.684
0.650 0.982 0.316
0.926 0.768 0.897
0.012 0.770 0.540
0.211 0.206 0.889
0.365 0.572 0.205
0.377 0.519 0.395
0.623 0.481 0.605
0.635 0.428 0.795
0.789 0.794 0.111
0.988 0.230 0.460
```

**Formation enthalpy at 0 K**: 0.169 eV/atom
**Size of the total moment**: 0.0000 μB/atom

=====

# 5
This record from the Materials Project describes a relaxed structure of KMg14SiO16. The functional is GGA-PBE.

```
KMg14SiO16
1.0
4.423 0.000 0.000
0.000 8.489 0.000
0.000 0.000 8.676
K Mg Si O
1 14 1 16
Direct
0.000 0.000 0.000
0.000 0.000 0.500
0.000 0.248 0.256
0.000 0.248 0.744
0.000 0.500 0.500
0.000 0.752 0.256
0.000 0.752 0.744
0.500 0.000 0.252
0.500 0.000 0.748
0.500 0.248 0.000
0.500 0.248 0.500
0.500 0.500 0.251
0.500 0.500 0.749
0.500 0.752 0.000
0.500 0.752 0.500
0.000 0.500 0.000
0.000 0.000 0.274
0.000 0.000 0.726
0.000 0.257 0.500
0.000 0.290 0.000
0.000 0.500 0.244
0.000 0.500 0.756
0.000 0.710 0.000
0.000 0.743 0.500
0.500 0.000 0.000
0.500 0.000 0.500
0.500 0.251 0.248
0.500 0.251 0.752
0.500 0.500 0.000
0.500 0.500 0.500
0.500 0.749 0.248
0.500 0.749 0.752
```

**Formation enthalpy at 0 K**: -2.786 eV/atom
**Size of the total moment**: 0.0010 μB/atom

=====

# 6
This record from the Materials Project describes a relaxed structure of UZn20Ir2. The functional is GGA-PBE.

```
UZn20Ir2
1.0
0.000 7.142 7.142
7.142 0.000 7.142
7.142 7.142 0.000
U Zn Ir
2 40 4
Direct
0.125 0.125 0.125
0.875 0.875 0.875
0.000 0.000 0.000
0.000 0.000 0.500
0.000 0.500 0.000
0.057 0.322 0.322
0.057 0.322 0.800
0.057 0.800 0.322
0.200 0.678 0.678
0.200 0.678 0.943
0.200 0.943 0.678
0.236 0.236 0.514
0.236 0.514 0.236
0.236 0.514 0.514
0.322 0.057 0.322
0.322 0.057 0.800
0.322 0.322 0.057
0.322 0.322 0.800
0.322 0.800 0.057
0.322 0.800 0.322
0.486 0.486 0.764
0.486 0.764 0.486
0.486 0.764 0.764
0.500 0.000 0.000
0.514 0.236 0.236
0.514 0.236 0.514
0.514 0.514 0.236
0.678 0.200 0.678
0.678 0.200 0.943
0.678 0.678 0.200
0.678 0.678 0.943
0.678 0.943 0.200
0.678 0.943 0.678
0.764 0.486 0.486
0.764 0.486 0.764
0.764 0.764 0.486
0.800 0.057 0.322
0.800 0.322 0.057
0.800 0.322 0.322
0.943 0.200 0.678
0.943 0.678 0.200
0.943 0.678 0.678
0.000 0.500 0.500
0.500 0.000 0.500
0.500 0.500 0.000
0.500 0.500 0.500
```

**Formation enthalpy at 0 K**: -0.157 eV/atom

=====

# 7
This record from the Materials Project describes a relaxed structure of TmNi2Sn. The functional is GGA-PBE.

```
TmNi2Sn
1.0
6.439 0.000 0.000
0.000 6.439 0.000
0.000 0.000 6.439
Tm Ni Sn
4 8 4
Direct
0.000 0.000 0.000
0.000 0.500 0.500
0.500 0.000 0.500
0.500 0.500 0.000
0.250 0.250 0.250
0.250 0.250 0.750
0.250 0.750 0.250
0.250 0.750 0.750
0.750 0.250 0.250
0.750 0.250 0.750
0.750 0.750 0.250
0.750 0.750 0.750
0.000 0.000 0.500
0.000 0.500 0.000
0.500 0.000 0.000
0.500 0.500 0.500
```

**Formation enthalpy at 0 K**: -0.506 eV/atom
**Size of the total moment**: 0.0022 μB/atom

=====

# 8
This record from the Materials Project describes a relaxed structure of SmNi5. The functional is GGA-PBE.

```
SmNi5
1.0
4.917 0.000 0.000
-2.459 4.258 0.000
0.000 0.000 3.956
Sm Ni
1 5
Direct
0.000 0.000 0.000
0.000 0.500 0.500
0.333 0.667 0.000
0.500 0.000 0.500
0.500 0.500 0.500
0.667 0.333 0.000
```

**Formation enthalpy at 0 K**: -0.299 eV/atom

=====

# 9
This record from the Materials Project describes a relaxed structure of Na6Mg4SiS5O24. The functional is GGA-PBE.

```
Na6Mg4SiS5O24
1.0
8.918 0.000 0.000
4.437 7.755 0.000
0.098 0.088 22.243
Na Mg Si S O
18 12 3 15 72
Direct
0.000 0.000 0.000
0.003 0.333 0.414
0.020 0.639 0.499
0.263 0.396 0.997
0.279 0.031 0.489
0.288 0.677 0.082
0.310 0.682 0.582
0.312 0.301 0.337
0.339 0.983 0.172
0.343 0.348 0.658
0.624 0.379 0.502
0.639 0.017 0.246
0.641 0.017 0.748
0.654 0.699 0.326
0.657 0.657 0.993
0.940 0.688 0.838
0.963 0.044 0.332
0.972 0.355 0.913
0.303 0.685 0.928
0.306 0.687 0.430
0.310 0.690 0.731
0.311 0.684 0.231
0.622 0.023 0.399
0.636 0.025 0.598
0.645 0.012 0.898
0.660 0.009 0.097
0.972 0.345 0.764
0.973 0.362 0.065
0.981 0.345 0.263
0.981 0.348 0.567
0.308 0.982 0.329
0.339 0.322 0.499
0.942 0.718 0.995
0.013 0.685 0.331
0.013 0.983 0.830
0.270 0.052 0.664
0.275 0.351 0.164
0.311 0.384 0.829
0.348 0.018 0.999
0.602 0.685 0.831
0.604 0.390 0.330
0.641 0.310 0.997
0.644 0.722 0.498
0.677 0.646 0.164
0.681 0.351 0.664
0.932 0.017 0.497
0.971 0.057 0.164
0.972 0.650 0.665
0.100 0.707 0.278
0.102 0.866 0.779
0.109 0.866 0.494
0.111 0.906 0.887
0.119 0.649 0.386
0.129 0.883 0.167
0.135 0.177 0.325
0.135 0.659 0.670
0.138 0.693 0.990
0.145 0.340 0.504
0.147 0.375 0.825
0.168 0.166 0.005
0.171 0.129 0.608
0.172 0.371 0.109
0.182 0.168 0.716
0.190 0.327 0.218
0.274 0.897 0.390
0.285 0.493 0.883
0.288 0.879 0.672
0.295 0.505 0.170
0.319 0.516 0.493
0.331 0.469 0.775
0.339 0.857 0.991
0.339 0.863 0.270
0.423 0.204 0.439
0.427 0.055 0.946
0.444 0.038 0.660
0.446 0.189 0.159
0.449 0.995 0.054
0.460 0.237 0.558
0.463 0.211 0.836
0.484 0.709 0.493
0.485 0.998 0.332
0.487 0.469 0.279
0.493 0.489 0.990
0.496 0.699 0.778
0.502 0.504 0.669
0.502 0.662 0.167
0.524 0.665 0.887
0.528 0.491 0.386
0.600 0.237 0.051
0.620 0.842 0.832
0.622 0.832 0.550
0.638 0.210 0.336
0.651 0.825 0.161
0.662 0.193 0.662
0.666 0.203 0.944
0.680 0.792 0.442
0.759 0.370 0.607
0.763 0.545 0.110
0.774 0.383 0.322
0.779 0.562 0.219
0.781 0.531 0.826
0.786 0.336 0.717
0.793 0.544 0.506
0.802 0.319 0.005
0.813 0.043 0.160
0.819 0.824 0.659
0.824 0.796 0.934
0.833 0.038 0.441
0.838 0.997 0.834
0.842 0.846 0.337
0.848 0.987 0.550
0.852 0.849 0.051
0.943 0.178 0.504
0.952 0.565 0.720
0.956 0.158 0.219
0.962 0.523 0.002
0.982 0.536 0.324
0.995 0.143 0.110
0.995 0.156 0.823
0.998 0.542 0.611
```

**Formation enthalpy at 0 K**: -2.400 eV/atom
**Size of the total moment**: 0.0000 μB/atom

=====

# 10
This record from the Materials Project describes a relaxed structure of Cd4Te3Se. The functional is GGA-PBE.

```
Cd4Te3Se
1.0
2.311 1.334 15.042
-2.311 1.334 15.042
0.000 -2.669 15.042
Cd Te Se
4 3 1
Direct
0.000 0.000 0.000
0.247 0.247 0.247
0.495 0.495 0.495
0.743 0.743 0.743
0.184 0.184 0.184
0.432 0.432 0.432
0.936 0.936 0.936
0.683 0.683 0.683
```

**Formation enthalpy at 0 K**: -0.533 eV/atom
**Size of the total moment**: 0.0001 μB/atom

=====

> The lowest formation enthalpy at 0 K belongs to which entry?

KMg14SiO16